1.
Below is crystalline Mg2BP3H6O14 at its relaxed geometry, with properties calculated at the PBE level.

The structure in POSCAR format:
```
Mg2BP3H6O14
1.0
7.183 0.000 0.000
0.000 8.760 0.000
0.000 0.000 16.480
Mg B P H O
8 4 12 24 56
direct
0.180 0.197 0.292
0.181 0.827 0.306
0.319 0.173 0.806
0.320 0.803 0.792
0.680 0.303 0.708
0.681 0.673 0.694
0.819 0.327 0.194
0.820 0.697 0.208
0.154 0.584 0.918
0.346 0.416 0.418
0.654 0.916 0.082
0.846 0.084 0.582
0.013 0.004 0.138
0.049 0.499 0.765
0.135 0.528 0.083
0.365 0.472 0.583
0.451 0.501 0.265
0.487 0.996 0.638
0.513 0.496 0.862
0.549 0.001 0.235
0.635 0.972 0.917
0.865 0.028 0.417
0.951 0.999 0.735
0.987 0.504 0.362
0.087 0.806 0.918
0.190 0.105 0.962
0.192 0.338 0.666
0.203 0.013 0.592
0.209 0.657 0.632
0.233 0.278 0.957
0.267 0.722 0.457
0.291 0.343 0.132
0.297 0.987 0.092
0.308 0.662 0.166
0.310 0.895 0.462
0.413 0.194 0.418
0.587 0.694 0.082
0.690 0.395 0.038
0.692 0.162 0.334
0.703 0.487 0.408
0.709 0.843 0.368
0.733 0.222 0.043
0.767 0.778 0.543
0.791 0.157 0.868
0.797 0.513 0.908
0.808 0.838 0.834
0.810 0.605 0.538
0.913 0.306 0.582
0.013 0.520 0.860
0.023 0.023 0.355
0.027 0.155 0.185
0.028 0.864 0.193
0.063 0.559 0.997
0.147 0.991 0.774
0.154 0.346 0.753
0.161 0.635 0.733
0.168 0.998 0.069
0.170 0.504 0.413
0.194 0.744 0.902
0.208 0.189 0.923
0.215 0.348 0.603
0.236 0.367 0.078
0.264 0.633 0.578
0.285 0.652 0.103
0.292 0.811 0.423
0.306 0.256 0.402
0.330 0.496 0.913
0.332 0.002 0.569
0.339 0.365 0.233
0.346 0.654 0.253
0.353 0.009 0.274
0.437 0.441 0.497
0.472 0.136 0.693
0.473 0.845 0.685
0.477 0.977 0.855
0.487 0.480 0.360
0.513 0.980 0.140
0.523 0.477 0.645
0.527 0.345 0.815
0.528 0.636 0.807
0.563 0.941 0.003
0.647 0.509 0.226
0.654 0.154 0.247
0.661 0.865 0.267
0.668 0.502 0.931
0.670 0.996 0.587
0.694 0.756 0.098
0.708 0.311 0.077
0.715 0.152 0.397
0.736 0.133 0.922
0.764 0.867 0.422
0.785 0.848 0.897
0.792 0.689 0.577
0.806 0.244 0.598
0.830 0.004 0.087
0.832 0.498 0.431
0.839 0.135 0.767
0.846 0.846 0.747
0.853 0.491 0.726
0.937 0.059 0.503
0.972 0.364 0.307
0.973 0.655 0.315
0.977 0.523 0.145
0.987 0.020 0.640
```

Properties
total energy after the MP2020 corrections: -6.80 eV/atom
formation energy: -2343 meV/atom
spin magnetization: 0.0000 μB per atom
symmetry: No. 19

2.
Below is crystalline NiGeN2 at its relaxed geometry, with properties calculated at the PBE level.

The structure in POSCAR format:
```
NiGeN2
1.0
5.250 0.000 0.000
0.000 10.593 0.000
0.000 0.000 12.921
Ni Ge N
16 16 32
direct
0.162 0.050 0.058
0.162 0.450 0.558
0.208 0.202 0.195
0.208 0.298 0.695
0.292 0.702 0.195
0.292 0.798 0.695
0.338 0.550 0.058
0.338 0.950 0.558
0.662 0.050 0.442
0.662 0.450 0.942
0.708 0.202 0.305
0.708 0.298 0.805
0.792 0.702 0.305
0.792 0.798 0.805
0.838 0.550 0.442
0.838 0.950 0.942
0.130 0.542 0.814
0.130 0.958 0.314
0.210 0.206 0.439
0.210 0.294 0.939
0.290 0.706 0.439
0.290 0.794 0.939
0.370 0.042 0.814
0.370 0.458 0.314
0.630 0.542 0.686
0.630 0.958 0.186
0.710 0.206 0.061
0.710 0.294 0.561
0.790 0.706 0.061
0.790 0.794 0.561
0.870 0.042 0.686
0.870 0.458 0.186
0.140 0.719 0.819
0.140 0.781 0.319
0.146 0.716 0.054
0.146 0.784 0.554
0.201 0.518 0.197
0.201 0.982 0.697
0.215 0.534 0.429
0.215 0.966 0.929
0.285 0.034 0.429
0.285 0.466 0.929
0.299 0.018 0.197
0.299 0.482 0.697
0.354 0.216 0.054
0.354 0.284 0.554
0.360 0.219 0.819
0.360 0.281 0.319
0.640 0.719 0.681
0.640 0.781 0.181
0.646 0.716 0.446
0.646 0.784 0.946
0.701 0.518 0.303
0.701 0.982 0.803
0.715 0.534 0.071
0.715 0.966 0.571
0.785 0.034 0.071
0.785 0.466 0.571
0.799 0.018 0.303
0.799 0.482 0.803
0.854 0.216 0.446
0.854 0.284 0.946
0.860 0.219 0.681
0.860 0.281 0.181
```

Properties
total energy after the MP2020 corrections: -6.71 eV/atom
formation energy: 63 meV/atom
spin magnetization: 0.2500 μB per atom
symmetry: No. 61

3.
Below is crystalline SrCd3 at its relaxed geometry, with properties calculated at the PBE level.

The structure in POSCAR format:
```
SrCd3
1.0
0.000 3.762 3.762
3.762 0.000 3.762
3.762 3.762 0.000
Sr Cd
1 3
direct
0.000 0.000 0.000
0.250 0.250 0.250
0.500 0.500 0.500
0.750 0.750 0.750
```

Properties
formation energy: -229 meV/atom
symmetry: No. 225

Number 3 is which compound? SrCd3

What is the formation energy in the first record? -2343 meV/atom

Number 2 is which compound? NiGeN2